No. 1
SmP4HO12: relaxed, PBE-GGA.

Results
- Final energy: -7.269 eV per atom
- ΔE_f: -49.95 eV/f.u.
- Corrected total energy (MP2020 scheme): -7.727 eV/atom

a = 7.2834 Å, b = 8.7447 Å, c = 8.9998 Å
α = 99.47°, β = 112.33°, γ = 105.94°
With the nearest neighbours (Å) after each atom.
Space group P-1 (No. 2)
Symmetry-distinct sites (fractional):
Sm 0.0936 0.2672 0.2584 [2 per cell]  7 O 2.34-2.51
P 0.0671 0.3777 0.6559 [2 per cell]  4 O 1.50-1.62
P 0.2100 0.1858 0.8945 [2 per cell]  4 O 1.49-1.63
P 0.3867 0.7106 0.4198 [2 per cell]  4 O 1.49-1.62
P 0.4204 0.8657 0.1499 [2 per cell]  4 O 1.49-1.59
H 0.5000 0.1312 0.2578 [2 per cell]  1 O 1.02
O 0.0604 0.0186 0.7686 [2 per cell]  1 P 1.50
O 0.0940 0.5579 0.7013 [2 per cell]  1 P 1.50
O 0.1576 0.3150 0.5452 [2 per cell]  1 P 1.50
O 0.1598 0.3375 0.8324 [2 per cell]  2 P 1.60-1.61
O 0.1834 0.7419 0.4296 [2 per cell]  2 P 1.61-1.62
O 0.1923 0.7950 0.0229 [2 per cell]  1 P 1.49
O 0.2357 0.2174 0.0706 [2 per cell]  1 P 1.49
O 0.3249 0.5382 0.3116 [2 per cell]  1 P 1.49
O 0.4394 0.2278 0.4014 [2 per cell]  1 P 1.51
O 0.4483 0.2262 0.9068 [2 per cell]  2 P 1.57-1.63
O 0.4566 0.8469 0.3306 [2 per cell]  2 P 1.59-1.62
O 0.4575 0.9445 0.8103 [2 per cell]  1 H 1.02

No. 2
Ti3Nb: relaxed, PBE-GGA.

Results
- Final energy: -8.362 eV per atom
- ΔE_f: 0.34 eV/f.u.
- Size of the total moment: 0.03 μB per formula unit

a = 4.1334 Å, b = 4.1334 Å, c = 4.1334 Å
α = 90.00°, β = 90.00°, γ = 90.00°
With the nearest neighbours (Å) after each atom.
Space group Pm-3m (No. 221)
Symmetry-distinct sites (fractional):
Ti 0.0000 0.0000 0.5000 [3 per cell]  4 Nb 2.92, 8 Ti 2.92
Nb 0.5000 0.5000 0.5000 [1 per cell]  12 Ti 2.92

No. 3
Ca2Si3Ni: relaxed, PBE-GGA.

Results
- Final energy: -4.760 eV per atom
- ΔE_f: -2.49 eV/f.u.
- Size of the total moment: 0.02 μB per formula unit

a = 3.9944 Å, b = 3.9944 Å, c = 8.7841 Å
α = 90.00°, β = 90.00°, γ = 120.00°
With the nearest neighbours (Å) after each atom.
Space group P-6m2 (No. 187)
Symmetry-distinct sites (fractional):
Ca 0.0000 0.0000 0.2353 [2 per cell]  3 Ni 3.10, 9 Si 3.10-3.27
Si 0.3333 0.6667 0.5000 [1 per cell]  3 Si 2.31
Si 0.6667 0.3333 0.0000 [1 per cell]  3 Ni 2.31
Si 0.6667 0.3333 0.5000 [1 per cell]  3 Si 2.31
Ni 0.3333 0.6667 0.0000 [1 per cell]  3 Si 2.31

No. 4
Si: relaxed, PBE-GGA.

Results
- Final energy: -4.997 eV per atom
- Excess energy over the best structure of this formula in the dataset: 428 meV per atom
- ΔE_f: 0.43 eV/f.u.
- Size of the total moment: 0.00 μB per formula unit

a = 8.7504 Å, b = 5.1547 Å, c = 5.1831 Å
α = 90.00°, β = 90.00°, γ = 90.00°
With the nearest neighbours (Å) after each atom.
Space group Cmce (No. 64)
Symmetry-distinct sites (fractional):
Si 0.0000 0.1556 0.1741 [8 per cell]  7 Si 2.41-2.69
Si 0.2057 0.0000 0.5000 [8 per cell]  10 Si 2.60-2.84

No. 5
KHfMg6: relaxed, PBE-GGA.

Results
- Final energy: -2.343 eV per atom
- Excess energy over the best structure of this formula in the dataset: 4 meV per atom
- ΔE_f: 1.92 eV/f.u.
- Size of the total moment: 0.00 μB per formula unit

a = 6.6758 Å, b = 6.6758 Å, c = 4.6367 Å
α = 90.00°, β = 90.00°, γ = 90.00°
With the nearest neighbours (Å) after each atom.
Space group P4/mmm (No. 123)
Symmetry-distinct sites (fractional):
K 0.0000 0.0000 0.0000 [1 per cell]  12 Mg 3.34-3.48
Hf 0.5000 0.5000 0.0000 [1 per cell]  12 Mg 3.15-3.34
Mg 0.0000 0.5000 0.0000 [2 per cell]  8 Mg 3.32, 2 Hf 3.34, 2 K 3.34
Mg 0.2745 0.2745 0.5000 [4 per cell]  6 Mg 3.01-3.32, 2 Hf 3.15

No. 6
NaGdS2: relaxed, PBE-GGA.

Results
- Final energy: -7.753 eV per atom
- ΔE_f: -8.35 eV/f.u.
- Corrected total energy (MP2020 scheme): -8.004 eV/atom

a = 4.0329 Å, b = 4.0329 Å, c = 20.0688 Å
α = 90.00°, β = 90.00°, γ = 120.00°
With the nearest neighbours (Å) after each atom.
Space group R-3m (No. 166, hexagonal axes)
Symmetry-distinct sites (fractional):
Na 0.0000 0.0000 0.0000 [3 per cell]  6 S 2.96
Gd 0.0000 0.0000 0.5000 [3 per cell]  6 S 2.78
S 0.0000 0.0000 0.2426 [6 per cell]  3 Gd 2.78, 3 Na 2.96

No. 7
TiNb2O7: relaxed, PBE-GGA.

Results
- Final energy: -8.962 eV per atom
- Excess energy over the best structure of this formula in the dataset: 0 meV per atom
- ΔE_f: -31.70 eV/f.u.
- Size of the total moment: 0.00 μB per formula unit
- Corrected total energy (MP2020 scheme): -9.443 eV/atom

a = 7.6767 Å, b = 10.5609 Å, c = 11.4653 Å
α = 66.87°, β = 80.37°, γ = 79.53°
With the nearest neighbours (Å) after each atom.
Space group P1 (No. 1)
Symmetry-distinct sites (fractional):
Ti 0.0000 0.0000 0.0000 [1 per cell]  4 O 1.81-1.97
Ti 0.0879 0.6466 0.0002 [1 per cell]  2 O 1.79-1.84
Ti 0.3517 0.2242 0.3751 [1 per cell]  5 O 1.81-1.98
Ti 0.4845 0.3344 0.7323 [1 per cell]  4 O 1.77-1.98
Ti 0.5896 0.6361 0.0096 [1 per cell]  2 O 1.77-1.85
Ti 0.7953 0.0740 0.7459 [1 per cell]  4 O 1.82-1.99
Nb 0.0399 0.4905 0.3575 [1 per cell]  4 O 1.86-2.00
Nb 0.2981 0.0720 0.7376 [1 per cell]  4 O 1.83-2.03
Nb 0.3917 0.6950 0.7439 [1 per cell]  4 O 1.82-2.03
Nb 0.4029 0.3748 0.0123 [1 per cell]  4 O 1.83-2.00
Nb 0.4407 0.8668 0.3717 [1 per cell]  6 O 1.91-2.10
Nb 0.5007 0.9995 0.0024 [1 per cell]  4 O 1.84-2.00
Nb 0.5336 0.4918 0.3705 [1 per cell]  5 O 1.83-2.02
Nb 0.8478 0.2153 0.3889 [1 per cell]  4 O 1.84-2.01
Nb 0.8858 0.7149 0.7399 [1 per cell]  4 O 1.80-2.01
Nb 0.9043 0.3746 0.0130 [1 per cell]  4 O 1.82-2.01
Nb 0.9461 0.8597 0.3569 [1 per cell]  5 O 1.93-2.00
Nb 0.9809 0.3372 0.7339 [1 per cell]  4 O 1.82-2.02
O 0.0070 0.4112 0.5602 [1 per cell]  1 Nb 1.82
O 0.0289 0.1056 0.7760 [1 per cell]  1 Ti 1.99, 1 Nb 2.03
O 0.0483 0.8247 0.9846 [1 per cell]  2 Ti 1.79-1.89
O 0.0664 0.5612 0.1751 [1 per cell]  1 Ti 1.84, 1 Nb 1.91
O 0.0897 0.2703 0.3765 [1 per cell]  1 Ti 1.98, 2 Nb 2.01-2.21
O 0.1298 0.6898 0.7946 [1 per cell]  2 Nb 2.00-2.01, 1 Ti 2.20
O 0.1446 0.4303 0.9949 [1 per cell]  2 Nb 1.98-1.99
O 0.1927 0.8530 0.3763 [1 per cell]  2 Nb 1.93
O 0.2442 0.2826 0.7490 [1 per cell]  1 Ti 1.98, 1 Nb 2.02
O 0.2545 0.0215 0.9546 [1 per cell]  1 Ti 1.97, 1 Nb 2.00
O 0.2991 0.4371 0.3699 [1 per cell]  2 Nb 1.98-1.99, 1 Ti 2.19
O 0.3213 0.1519 0.5636 [1 per cell]  1 Nb 1.83, 1 Ti 1.98
O 0.3388 0.8842 0.7633 [1 per cell]  2 Nb 1.86-2.06
O 0.3558 0.6060 0.9705 [1 per cell]  2 Ti 2.02-2.03
O 0.3788 0.2987 0.1871 [1 per cell]  1 Nb 1.83, 1 Ti 1.97
O 0.3935 0.0478 0.3794 [1 per cell]  1 Ti 1.81, 1 Nb 1.91
O 0.4162 0.7643 0.5704 [1 per cell]  1 Nb 1.82
O 0.4323 0.4874 0.7857 [1 per cell]  1 Ti 1.90, 1 Nb 2.03
O 0.4557 0.2218 0.9594 [1 per cell]  1 Nb 1.90
O 0.4710 0.9451 0.1774 [1 per cell]  2 Nb 1.84-2.04
O 0.4899 0.6687 0.3677 [1 per cell]  1 Nb 1.83
O 0.5075 0.4085 0.5632 [1 per cell]  1 Ti 1.77
O 0.5310 0.1050 0.7765 [1 per cell]  1 Ti 1.99, 1 Nb 2.03
O 0.5486 0.8224 0.9840 [1 per cell]  1 Ti 1.85, 1 Nb 1.93
O 0.5657 0.5601 0.1783 [1 per cell]  1 Ti 1.77
O 0.5877 0.2682 0.3769 [1 per cell]  1 Ti 1.96, 1 Nb 1.99
O 0.6294 0.6897 0.7917 [1 per cell]  2 Nb 1.98-1.99
O 0.6429 0.4327 0.9953 [1 per cell]  2 Nb 2.00-2.01, 1 Ti 2.18
O 0.6934 0.8521 0.3769 [1 per cell]  2 Nb 1.93
O 0.7404 0.2819 0.7493 [1 per cell]  2 Ti 1.96-2.17, 1 Nb 2.00
O 0.7585 0.0219 0.9527 [1 per cell]  2 Ti 1.97-2.19, 1 Nb 2.00
O 0.7977 0.4386 0.3702 [1 per cell]  2 Nb 2.00
O 0.8201 0.1502 0.5725 [1 per cell]  1 Ti 1.82, 1 Nb 1.93
O 0.8364 0.8925 0.7613 [1 per cell]  1 Ti 1.83, 1 Nb 1.95
O 0.8561 0.6073 0.9714 [1 per cell]  2 Ti 2.01
O 0.8793 0.2988 0.1863 [1 per cell]  1 Nb 1.82
O 0.8950 0.0417 0.3794 [1 per cell]  2 Nb 1.84-2.00
O 0.9165 0.7679 0.5691 [1 per cell]  1 Nb 1.80
O 0.9302 0.4919 0.7867 [1 per cell]  1 Nb 1.91
O 0.9545 0.2223 0.9586 [1 per cell]  1 Nb 1.90
O 0.9703 0.9449 0.1717 [1 per cell]  1 Ti 1.81, 1 Nb 1.94
O 0.9931 0.6646 0.3691 [1 per cell]  2 Nb 1.86-1.98

No. 8
Ca9Nb2Ga10Si6O42: relaxed, PBE-GGA.

Results
- Final energy: -6.987 eV per atom
- ΔE_f: -202.03 eV/f.u.
- Size of the total moment: 2.00 μB per formula unit
- Corrected total energy (MP2020 scheme): -7.405 eV/atom

a = 14.1710 Å, b = 14.1710 Å, c = 15.1542 Å
α = 90.00°, β = 90.00°, γ = 120.00°
With the nearest neighbours (Å) after each atom.
Space group R3 (No. 146, hexagonal axes)
Symmetry-distinct sites (fractional):
Ca 0.1915 0.3834 0.0000 [9 per cell]  4 O 2.37-2.40
Ca 0.1918 0.3837 0.3330 [9 per cell]  4 O 2.37-2.40
Ca 0.1934 0.3859 0.6663 [9 per cell]  4 O 2.37-2.42
Nb 0.0000 0.0000 0.3329 [3 per cell]  6 O 2.01-2.02
Nb 0.0000 0.0000 0.6671 [3 per cell]  6 O 2.01-2.02
Ga 0.0000 0.0000 0.9999 [3 per cell]  6 O 1.99
Ga 0.0832 0.1687 0.8344 [9 per cell]  4 O 1.85-1.89
Ga 0.0826 0.9145 0.1651 [9 per cell]  4 O 1.84-1.90
Ga 0.0847 0.1695 0.5000 [9 per cell]  4 O 1.86-1.88
Si 0.0004 0.3344 0.8498 [9 per cell]  4 O 1.62-1.67
Si 0.0000 0.6678 0.8167 [9 per cell]  4 O 1.62-1.66
O 0.0000 0.6680 0.9236 [9 per cell]  1 Si 1.62
O 0.0006 0.3327 0.0764 [9 per cell]  1 Si 1.62
O 0.0557 0.2664 0.5628 [9 per cell]  1 Si 1.67
O 0.0560 0.2675 0.8961 [9 per cell]  1 Si 1.66
O 0.0556 0.7883 0.1039 [9 per cell]  1 Si 1.66
O 0.0562 0.7894 0.4371 [9 per cell]  1 Si 1.66
O 0.0562 0.7905 0.7708 [9 per cell]  1 Si 1.66
O 0.0569 0.2662 0.2292 [9 per cell]  1 Si 1.67
O 0.1204 0.0185 0.0790 [9 per cell]  2 Ga 1.84-1.99
O 0.1208 0.1019 0.9212 [9 per cell]  2 Ga 1.85-1.99
O 0.1228 0.0199 0.4124 [9 per cell]  1 Ga 1.86, 1 Nb 2.02
O 0.1234 0.0197 0.7449 [9 per cell]  1 Ga 1.86, 1 Nb 2.01
O 0.1232 0.1030 0.5875 [9 per cell]  1 Ga 1.86, 1 Nb 2.02
O 0.1236 0.1032 0.2545 [9 per cell]  1 Ga 1.86, 1 Nb 2.01

No. 9
TaTiMn2: relaxed, PBE-GGA.

Results
- Final energy: -9.800 eV per atom
- ΔE_f: -1.12 eV/f.u.

a = 6.0470 Å, b = 6.0470 Å, c = 6.0470 Å
α = 90.00°, β = 90.00°, γ = 90.00°
With the nearest neighbours (Å) after each atom.
Space group Fm-3m (No. 225)
Symmetry-distinct sites (fractional):
Ta 0.0000 0.0000 0.0000 [4 per cell]  8 Mn 2.62
Ti 0.0000 0.0000 0.5000 [4 per cell]  8 Mn 2.62
Mn 0.2500 0.2500 0.2500 [8 per cell]  4 Ta 2.62, 4 Ti 2.62

No. 10
TlBSe3: relaxed, PBE-GGA.

Results
- Final energy: -4.137 eV per atom
- ΔE_f: -2.57 eV/f.u.
- Corrected total energy (MP2020 scheme): -4.421 eV/atom

a = 7.4999 Å, b = 12.4565 Å, c = 6.2394 Å
α = 90.00°, β = 116.42°, γ = 90.00°
With the nearest neighbours (Å) after each atom.
Space group Cc (No. 9)
Symmetry-distinct sites (fractional):
Tl 0.0000 0.1698 0.0000 [4 per cell]  6 Se 3.33-3.55
B 0.4722 0.0225 0.9057 [4 per cell]  4 Se 2.06-2.10
Se 0.0843 0.3365 0.5921 [4 per cell]  1 B 2.07
Se 0.2282 0.4354 0.9613 [4 per cell]  1 B 2.10
Se 0.3002 0.0508 0.5463 [4 per cell]  2 B 2.06-2.07

No. 11
TeMoS: relaxed, PBE-GGA.

Results
- Final energy: -6.535 eV per atom
- ΔE_f: -1.98 eV/f.u.
- Size of the total moment: 0.00 μB per formula unit
- Corrected total energy (MP2020 scheme): -6.702 eV/atom

a = 3.3602 Å, b = 3.3602 Å, c = 23.8694 Å
α = 90.00°, β = 90.00°, γ = 120.00°
With the nearest neighbours (Å) after each atom.
Space group P3m1 (No. 156)
Symmetry-distinct sites (fractional):
Te 0.0000 0.0000 0.0000 [1 per cell]  3 Mo 2.71
Te 0.0000 0.0000 0.1584 [1 per cell]  3 Mo 2.71
Mo 0.0000 0.0000 0.7783 [1 per cell]  6 S 2.46
Mo 0.3333 0.6667 0.0793 [1 per cell]  6 Te 2.71
S 0.3333 0.6667 0.7149 [1 per cell]  3 Mo 2.46
S 0.3333 0.6667 0.8417 [1 per cell]  3 Mo 2.46

No. 12
Ti3NbAl2C2: relaxed, PBE-GGA.

Results
- Final energy: -8.129 eV per atom
- ΔE_f: -5.30 eV/f.u.
- Size of the total moment: 0.00 μB per formula unit

a = 3.0679 Å, b = 3.0679 Å, c = 13.8613 Å
α = 90.00°, β = 90.00°, γ = 120.00°
With the nearest neighbours (Å) after each atom.
Space group P3m1 (No. 156)
Symmetry-distinct sites (fractional):
Ti 0.0000 0.0000 0.0000 [1 per cell]  3 C 2.10
Ti 0.0000 0.0000 0.3302 [1 per cell]  3 C 2.11
Ti 0.3333 0.6667 0.4968 [1 per cell]  3 C 2.12
Nb 0.3333 0.6667 0.8249 [1 per cell]  3 C 2.20
Al 0.0000 0.0000 0.6606 [1 per cell]  3 Ti 2.88, 3 Nb 2.88, 6 Al 3.07
Al 0.3333 0.6667 0.1653 [1 per cell]  6 Ti 2.89-2.90, 6 Al 3.07
C 0.6667 0.3333 0.4134 [1 per cell]  6 Ti 2.11-2.12
C 0.6667 0.3333 0.9186 [1 per cell]  3 Ti 2.10, 3 Nb 2.20

No. 13
NaH8SeNO6: relaxed, PBE-GGA.

Results
- Final energy: -5.048 eV per atom
- Excess energy over the best structure of this formula in the dataset: 0 meV per atom
- Largest piezoelectric modulus: 0.0 C/m²
- ΔE_f: -19.96 eV/f.u.
- Size of the total moment: 0.00 μB per formula unit
- Corrected total energy (MP2020 scheme): -5.291 eV/atom

a = 6.4272 Å, b = 8.4709 Å, c = 13.2252 Å
α = 90.00°, β = 90.00°, γ = 90.00°
With the nearest neighbours (Å) after each atom.
Space group P2_12_12_1 (No. 19)
Symmetry-distinct sites (fractional):
Na 0.0952 0.2391 0.4892 [4 per cell]  6 O 2.39-2.48
H 0.0237 0.7096 0.3564 [4 per cell]  1 N 1.03
H 0.1270 0.5962 0.8297 [4 per cell]  1 O 0.99
H 0.1325 0.0774 0.2056 [4 per cell]  1 N 1.05
H 0.1389 0.0910 0.0773 [4 per cell]  1 N 1.04
H 0.1433 0.4719 0.9151 [4 per cell]  1 O 0.99
H 0.1925 0.7770 0.1891 [4 per cell]  1 O 0.99
H 0.2313 0.2432 0.1496 [4 per cell]  1 N 1.04
H 0.2382 0.6019 0.1538 [4 per cell]  1 O 0.99
Se 0.1159 0.0956 0.8713 [4 per cell]  4 O 1.66-1.69
N 0.1195 0.1544 0.1440 [4 per cell]  4 H 1.03-1.05
O 0.1143 0.5761 0.6895 [4 per cell]  1 Se 1.69, 2 H 1.84-1.86
O 0.1285 0.2708 0.9270 [4 per cell]  1 Se 1.66, 1 H 1.71
O 0.1381 0.9566 0.9608 [4 per cell]  1 Se 1.68
O 0.1496 0.5876 0.9034 [4 per cell]  2 H 0.99
O 0.1774 0.7034 0.1313 [4 per cell]  2 H 0.99
O 0.1863 0.9184 0.2882 [4 per cell]  1 Se 1.68, 2 H 1.77-1.78

No. 14
DyRu2: relaxed, PBE-GGA.

Results
- Final energy: -8.045 eV per atom
- ΔE_f: -0.98 eV/f.u.
- Size of the total moment: 0.00 μB per formula unit

a = 5.2673 Å, b = 9.1084 Å, c = 8.9653 Å
α = 90.00°, β = 90.00°, γ = 90.00°
With the nearest neighbours (Å) after each atom.
Space group Cmcm (No. 63)
Symmetry-distinct sites (fractional):
Dy 0.0000 0.1667 0.0666 [8 per cell]  12 Ru 3.09-3.20, 4 Dy 3.26-3.29
Ru 0.0000 0.3290 0.7500 [4 per cell]  6 Ru 2.56-2.73
Ru 0.0000 0.5000 0.0000 [4 per cell]  6 Ru 2.73
Ru 0.2432 0.0855 0.7500 [8 per cell]  6 Ru 2.56-2.73